[1]
Density functional theory data (PBE) for an optimized crystal structure of ThZr2.

abc: 3.359 3.359 7.976
angles: 90.00 90.00 120.00
Fractional coordinates of all 3 atoms:
Th  0.000  0.000  0.000
Zr  0.333  0.667  0.661
Zr  0.667  0.333  0.339

Calculated values
calculated density: 8.83 g/cm3
M_tot: 0.00 μB/f.u.
energy of formation from the pure elements: 35.6 kJ/mol of formula units
space group: P-3m1 (164)



[2]
Density functional theory data (PBE) for an optimized crystal structure of Ti.

abc: 2.928 2.928 28.087
angles: 90.00 90.00 120.00
Fractional coordinates of all 6 atoms:
Ti  0.667  0.333  0.704
Ti  0.333  0.667  0.626
Ti  0.667  0.333  0.541
Ti  0.333  0.667  0.459
Ti  0.667  0.333  0.374
Ti  0.333  0.667  0.296

Calculated values
energy relative to the lowest polymorph listed for this composition: 0.31 eV per formula unit
calculated density: 2.29 g/cm3
M_tot: 0.27 μB/f.u.
energy of formation from the pure elements: 29.9 kJ/mol of formula units
space group: P-3m1 (164)



[3]
Density functional theory data (PBE) for an optimized crystal structure of Ti.

abc: 2.934 2.934 4.657
angles: 90.00 90.00 120.00
Fractional coordinates of all 2 atoms:
Ti  0.333  0.667  0.250
Ti  0.667  0.333  0.750

Calculated values
energy relative to the lowest polymorph listed for this composition: 0.00 eV per formula unit
calculated density: 4.58 g/cm3
energy of formation from the pure elements: 0.4 kJ/mol of formula units
space group: P6_3/mmc (194)



[4]
Density functional theory data (PBE) for an optimized crystal structure of Ti.

abc: 12.500 11.457 12.339
angles: 93.00 87.91 88.33
Fractional coordinates of all 100 atoms:
Ti  0.991  0.966  0.729
Ti  0.588  0.920  0.186
Ti  0.408  0.616  0.316
Ti  0.266  0.504  0.423
Ti  0.526  0.218  0.641
Ti  0.604  0.708  0.319
Ti  0.286  0.773  0.813
Ti  0.165  0.465  0.752
Ti  0.941  0.612  0.928
Ti  0.799  0.821  0.227
Ti  0.023  0.993  0.089
Ti  0.882  0.498  0.506
Ti  0.074  0.859  0.520
Ti  0.621  0.467  0.427
Ti  0.274  0.783  0.498
Ti  0.589  0.239  0.410
Ti  0.894  0.058  0.259
Ti  0.255  0.180  0.925
Ti  0.420  0.785  0.974
Ti  0.884  0.257  0.415
Ti  0.717  0.346  0.242
Ti  0.629  0.602  0.914
Ti  0.592  0.989  0.728
Ti  0.220  0.076  0.143
Ti  0.019  0.142  0.938
Ti  0.687  0.582  0.646
Ti  0.565  0.205  0.164
Ti  0.753  0.879  0.414
Ti  0.436  0.484  0.967
Ti  0.283  0.605  0.635
Ti  0.171  0.628  0.927
Ti  0.890  0.736  0.548
Ti  0.707  0.406  0.015
Ti  0.202  0.406  0.987
Ti  0.448  0.581  0.767
Ti  0.082  0.282  0.146
Ti  0.442  0.369  0.328
Ti  0.762  0.630  0.398
Ti  0.436  0.805  0.652
Ti  0.444  0.076  0.292
Ti  0.540  0.467  0.165
Ti  0.254  0.244  0.314
Ti  0.693  0.078  0.295
Ti  0.768  0.587  0.169
Ti  0.421  0.040  0.057
Ti  0.557  0.694  0.108
Ti  0.797  0.939  0.634
Ti  0.376  0.833  0.210
Ti  0.477  0.190  0.879
Ti  0.484  0.628  0.523
Ti  0.966  0.580  0.711
Ti  0.815  0.007  0.865
Ti  0.429  0.411  0.570
Ti  0.186  0.964  0.920
Ti  0.791  0.993  0.077
Ti  0.764  0.762  0.007
Ti  0.077  0.131  0.326
Ti  0.083  0.403  0.368
Ti  0.848  0.256  0.861
Ti  0.454  0.856  0.411
Ti  0.138  0.115  0.542
Ti  0.589  0.768  0.787
Ti  0.085  0.594  0.525
Ti  0.816  0.759  0.782
Ti  0.207  0.957  0.696
Ti  0.857  0.218  0.094
Ti  0.197  0.349  0.554
Ti  0.194  0.825  0.089
Ti  0.254  0.982  0.365
Ti  0.373  0.276  0.086
Ti  0.800  0.485  0.802
Ti  0.401  0.969  0.832
Ti  0.737  0.349  0.611
Ti  0.699  0.175  0.746
Ti  0.320  0.629  0.107
Ti  0.643  0.785  0.561
Ti  0.200  0.693  0.298
Ti  0.016  0.382  0.881
Ti  0.971  0.757  0.112
Ti  0.394  0.004  0.591
Ti  0.099  0.749  0.718
Ti  0.062  0.883  0.288
Ti  0.605  0.933  0.955
Ti  0.932  0.006  0.459
Ti  0.914  0.427  0.273
Ti  0.308  0.182  0.689
Ti  0.362  0.367  0.793
Ti  0.089  0.557  0.138
Ti  0.960  0.669  0.334
Ti  0.986  0.364  0.647
Ti  0.670  0.165  0.972
Ti  0.579  0.018  0.497
Ti  0.593  0.387  0.813
Ti  0.997  0.835  0.909
Ti  0.259  0.439  0.205
Ti  0.921  0.438  0.065
Ti  0.916  0.159  0.640
Ti  0.747  0.126  0.515
Ti  0.369  0.190  0.478
Ti  0.113  0.209  0.753

Calculated values
energy relative to the lowest polymorph listed for this composition: 0.18 eV per formula unit
calculated density: 4.51 g/cm3
M_tot: 0.02 μB/f.u.
energy of formation from the pure elements: 17.7 kJ/mol of formula units
space group: P1 (1)